# 1
Compound: Zr3Rh5
Source: the Materials Project
Functional: PBE
Structure: relaxed

abc: 5.6431 5.6431 8.7225
angles: 90.00 90.00 102.55
Element x y z (fractional)
Zr: 0.4345 0.4345 0.2500
Zr: 0.2083 0.7917 0.0000
Zr: 0.2083 0.7917 0.5000
Rh: 0.7117 0.7117 0.0269
Rh: 0.7117 0.7117 0.4731
Rh: 0.0250 0.4938 0.7500
Zr: 0.7917 0.2083 0.5000
Zr: 0.5655 0.5655 0.7500
Zr: 0.7917 0.2083 0.0000
Rh: 0.5062 0.9750 0.2500
Rh: 0.2883 0.2883 0.5269
Rh: 0.9750 0.5062 0.2500
Rh: 0.9869 0.9869 0.7500
Rh: 0.4938 0.0250 0.7500
Rh: 0.2883 0.2883 0.9731
Rh: 0.0131 0.0131 0.2500

DFT formation energy, kJ/mol of formula units: -615.3

# 2
Compound: Zr2Rh
Source: the Materials Project
Functional: PBE
Structure: relaxed

abc: 5.4246 5.4246 5.4246
angles: 105.81 105.81 117.08
Element x y z (fractional)
Zr: 0.8345 0.6655 0.5000
Zr: 0.6655 0.1655 0.8310
Zr: 0.3345 0.8345 0.1690
Rh: 0.2500 0.2500 0.0000
Rh: 0.7500 0.7500 0.0000
Zr: 0.1655 0.3345 0.5000

DFT formation energy, kJ/mol of formula units: -159.0

# 3
Compound: SbRuS
Source: the Materials Project
Functional: PBE
Structure: relaxed

abc: 6.1874 6.2549 6.2674
angles: 111.66 90.00 90.00
Element x y z (fractional)
Sb: 0.8710 0.1491 0.8703
Ru: 0.0129 0.2964 0.3025
Sb: 0.3710 0.8509 0.6297
S: 0.1335 0.3526 0.6787
Ru: 0.4871 0.2964 0.8025
Ru: 0.5129 0.7036 0.1975
Sb: 0.6290 0.1491 0.3703
Ru: 0.9871 0.7036 0.6975
S: 0.8665 0.6474 0.3213
Sb: 0.1290 0.8509 0.1297
S: 0.3665 0.3526 0.1787
S: 0.6335 0.6474 0.8213

DFT formation energy, kJ/mol of formula units: -179.5

# 4
Compound: Ru2SeS3
Source: the Materials Project
Functional: PBE
Structure: relaxed

abc: 5.7485 5.7467 5.7497
angles: 89.21 90.00 90.00
Element x y z (fractional)
Ru: 0.5031 0.9924 0.2481
S: 0.3866 0.8867 0.6390
Ru: 0.4951 0.4999 0.7597
Se: 0.3837 0.3827 0.3669
S: 0.6143 0.1139 0.8645
Ru: 0.9951 0.5001 0.2403
S: 0.8866 0.1133 0.3610
Ru: 0.0031 0.0076 0.7519
Se: 0.8837 0.6173 0.6331
S: 0.6172 0.6173 0.1306
S: 0.1172 0.3827 0.8694
S: 0.1143 0.8861 0.1355

DFT formation energy, kJ/mol of formula units: -431.6

# 5
Compound: URuS3
Source: the Materials Project
Functional: PBE
Structure: relaxed

abc: 5.9185 6.9312 8.7085
angles: 90.00 90.00 90.00
Element x y z (fractional)
S: 0.8496 0.3184 0.5578
S: 0.1504 0.6816 0.4422
S: 0.6504 0.8184 0.5578
S: 0.6613 0.5507 0.2500
Ru: 0.5000 0.5000 0.5000
Ru: 0.0000 0.0000 0.5000
Ru: 0.5000 0.5000 0.0000
S: 0.3387 0.4493 0.7500
U: 0.9291 0.6235 0.7500
S: 0.1613 0.9493 0.7500
Ru: 0.0000 0.0000 0.0000
S: 0.1504 0.6816 0.0578
U: 0.5709 0.1235 0.7500
S: 0.6504 0.8184 0.9422
S: 0.8496 0.3184 0.9422
U: 0.4291 0.8765 0.2500
U: 0.0709 0.3765 0.2500
S: 0.3496 0.1816 0.0578
S: 0.8387 0.0507 0.2500
S: 0.3496 0.1816 0.4422

DFT formation energy, kJ/mol of formula units: -629.3

# 6
Compound: SbRuSe
Source: the Materials Project
Functional: PBE
Structure: relaxed

abc: 6.3690 6.4334 6.4725
angles: 113.03 90.00 90.00
Element x y z (fractional)
Sb: 0.3653 0.8555 0.6233
Sb: 0.8653 0.1445 0.8767
Ru: 0.5046 0.7126 0.2000
Se: 0.3651 0.3488 0.1806
Ru: 0.0046 0.2874 0.3000
Ru: 0.4954 0.2874 0.8000
Sb: 0.1347 0.8555 0.1233
Se: 0.8651 0.6512 0.3194
Se: 0.1349 0.3488 0.6806
Se: 0.6349 0.6512 0.8194
Ru: 0.9954 0.7126 0.7000
Sb: 0.6347 0.1445 0.3767

DFT formation energy, kJ/mol of formula units: -162.3